A:
Material: SrMo6S8
Method: DFT, PBE
State: optimized geometry

Cell and atoms, written as POSCAR:
```
SrMo6S8
1.0
6.571 0.000 0.000
0.189 6.645 0.000
0.039 0.054 6.705
Sr Mo S
1 6 8
Cartesian
0.000 0.000 0.000
1.671 3.748 2.822
2.820 1.550 3.767
3.004 3.917 5.174
3.795 2.782 1.532
3.979 5.149 2.939
5.127 2.951 3.883
0.941 2.592 4.965
1.719 1.607 1.652
1.899 5.851 4.158
2.657 4.893 0.855
4.142 1.806 5.850
4.899 0.848 2.547
5.079 5.092 5.053
5.857 4.107 1.741
```

Values from the calculation:
- SG = No. 2
- volume (Å³/cell) = 292.8

B:
Material: SrMo6S8
Method: DFT, PBE
State: optimized geometry

Cell and atoms, written as POSCAR:
```
SrMo6S8
1.0
6.079 0.000 0.000
-1.225 7.621 0.000
-1.362 -3.545 7.330
Sr Mo S
1 6 8
Cartesian
0.000 0.000 0.000
-1.607 0.542 6.070
1.483 5.488 0.004
1.309 6.115 2.525
2.183 -2.039 4.806
2.009 -1.412 7.326
5.099 3.533 1.261
-0.949 5.717 2.373
-0.510 2.013 3.013
1.176 3.123 0.476
0.411 3.631 5.738
3.081 0.445 1.592
2.316 0.952 6.855
4.003 2.062 4.317
4.441 -1.641 4.957
```

Values from the calculation:
- SG = No. 2
- volume (Å³/cell) = 339.6

Stability check: which of them is most stable? A.

A:
Material: Te2MoW2S4
Method: DFT, PBE
State: optimized geometry

Cell and atoms, written as POSCAR:
```
Te2MoW2S4
1.0
3.302 0.000 0.000
-1.651 2.860 0.000
0.000 0.000 30.539
Te Mo W S
2 1 2 4
Cartesian
0.000 0.000 0.000
0.000 0.000 3.857
0.000 0.000 25.402
1.651 0.953 1.929
1.651 0.953 18.338
0.000 0.000 16.801
0.000 0.000 19.874
1.651 0.953 23.873
1.651 0.953 26.931
```

Values from the calculation:
- SG = No. 156
- volume (Å³/cell) = 288.4

B:
Material: Te2MoW2S4
Method: DFT, PBE
State: optimized geometry

Cell and atoms, written as POSCAR:
```
Te2MoW2S4
1.0
3.297 0.000 0.000
-1.649 2.856 0.000
0.000 0.000 30.502
Te Mo W S
2 1 2 4
Cartesian
0.000 0.000 0.000
0.000 0.000 3.826
1.649 0.952 1.912
0.000 0.000 8.971
1.649 0.952 16.026
0.000 0.000 14.489
0.000 0.000 17.562
1.649 0.952 7.434
1.649 0.952 10.506
```

Values from the calculation:
- SG = No. 156
- volume (Å³/cell) = 287.2

Stability check: which of them is most stable? B.

A:
Material: Te2MoW2S4
Method: DFT, PBE
State: optimized geometry

Cell and atoms, written as POSCAR:
```
Te2MoW2S4
1.0
3.296 0.000 0.000
-1.648 2.854 0.000
0.000 0.000 30.587
Te Mo W S
2 1 2 4
Cartesian
0.000 0.000 1.918
0.000 0.000 28.669
0.000 1.903 0.000
0.000 0.000 7.077
0.000 0.000 23.510
0.000 1.903 5.539
0.000 1.903 8.615
0.000 1.903 21.972
0.000 1.903 25.049
```

Values from the calculation:
- SG = No. 187
- volume (Å³/cell) = 287.7

B:
Material: Te2MoW2S4
Method: DFT, PBE
State: optimized geometry

Cell and atoms, written as POSCAR:
```
Te2MoW2S4
1.0
3.302 0.000 0.000
-1.651 2.859 0.000
0.000 0.000 30.544
Te Mo W S
2 1 2 4
Cartesian
0.000 0.000 0.000
0.000 0.000 3.855
1.651 0.953 18.340
0.000 0.000 25.404
1.651 0.953 1.929
0.000 0.000 16.810
0.000 0.000 19.869
1.651 0.953 23.868
1.651 0.953 26.941
```

Values from the calculation:
- SG = No. 156
- volume (Å³/cell) = 288.4

Stability check: which of them is most stable? A.